[1]
Compound: Eu2MgS4
Source: the Materials Project database
Functional: PBE
Structure: relaxed

Results
The energy of formation from the pure elements is -1.80 eV/atom.

Cell lengths 13.0704, 7.7978, 12.7829 Å; angles 90.00, 90.00, 90.00 degrees
Closest atoms and distances in Å follow each position.
Positions (direct):
Eu: 0.1087 0.1145 0.0000  6 S 2.74-2.83
Eu: 0.1259 0.6161 0.6406  6 S 2.76-2.83
Eu: 0.1352 0.3685 0.3087  7 S 2.82-3.08
Eu: 0.1363 0.8700 0.3075  7 S 2.81-3.08
Eu: 0.3637 0.8700 0.8075  7 S 2.81-3.08
Eu: 0.3648 0.3685 0.8087  7 S 2.82-3.08
Eu: 0.3741 0.6161 0.1406  6 S 2.76-2.83
Eu: 0.3913 0.1145 0.5000  6 S 2.74-2.83
Eu: 0.6087 0.8855 0.0000  6 S 2.74-2.83
Eu: 0.6259 0.3839 0.6406  6 S 2.76-2.83
Eu: 0.6352 0.6315 0.3087  7 S 2.82-3.08
Eu: 0.6363 0.1300 0.3075  7 S 2.81-3.08
Eu: 0.8637 0.1300 0.8075  7 S 2.81-3.08
Eu: 0.8648 0.6315 0.8087  7 S 2.82-3.08
Eu: 0.8741 0.3839 0.1406  6 S 2.76-2.83
Eu: 0.8913 0.8855 0.5000  6 S 2.74-2.83
Mg: 0.1106 0.6161 0.0078  5 S 2.51-2.78
Mg: 0.1253 0.1213 0.6357  4 S 2.50-2.68
Mg: 0.3747 0.1213 0.1357  4 S 2.50-2.68
Mg: 0.3894 0.6161 0.5078  5 S 2.51-2.78
Mg: 0.6106 0.3839 0.0078  5 S 2.51-2.78
Mg: 0.6253 0.8787 0.6357  4 S 2.50-2.68
Mg: 0.8747 0.8787 0.1357  4 S 2.50-2.68
Mg: 0.8894 0.3839 0.5078  5 S 2.51-2.78
S: 0.0104 0.1169 0.1953  1 Mg 2.68, 4 Eu 2.81-2.93
S: 0.0216 0.6289 0.1856  2 Mg 2.56-2.81, 1 Eu 2.77
S: 0.0259 0.6150 0.4460  1 Mg 2.66, 3 Eu 2.81-2.97
S: 0.0438 0.1274 0.4562  1 Mg 2.53, 1 Eu 2.80
S: 0.2083 0.1188 0.8117  1 Mg 2.50, 1 Eu 2.74
S: 0.2094 0.6187 0.8394  1 Mg 2.51, 1 Eu 2.77
S: 0.2315 0.8630 0.0871  2 Mg 2.69-2.82, 2 Eu 2.76-2.77
S: 0.2352 0.3607 0.0908  2 Mg 2.67-2.78, 2 Eu 2.77-2.79
S: 0.2648 0.3607 0.5908  2 Mg 2.67-2.78, 2 Eu 2.77-2.79
S: 0.2685 0.8630 0.5871  2 Mg 2.69-2.82, 2 Eu 2.76-2.77
S: 0.2906 0.6187 0.3394  1 Mg 2.51, 1 Eu 2.77
S: 0.2917 0.1188 0.3117  1 Mg 2.50, 1 Eu 2.74
S: 0.4562 0.1274 0.9562  1 Mg 2.53, 1 Eu 2.80
S: 0.4741 0.6150 0.9460  1 Mg 2.66, 3 Eu 2.81-2.97
S: 0.4784 0.6289 0.6856  2 Mg 2.56-2.81, 1 Eu 2.77
S: 0.4896 0.1169 0.6953  1 Mg 2.68, 4 Eu 2.81-2.93
S: 0.5104 0.8831 0.1953  1 Mg 2.68, 4 Eu 2.81-2.93
S: 0.5216 0.3711 0.1856  2 Mg 2.56-2.81, 1 Eu 2.77
S: 0.5259 0.3850 0.4460  1 Mg 2.66, 3 Eu 2.81-2.97
S: 0.5438 0.8726 0.4562  1 Mg 2.53, 1 Eu 2.80
S: 0.7083 0.8812 0.8117  1 Mg 2.50, 1 Eu 2.74
S: 0.7094 0.3813 0.8394  1 Mg 2.51, 1 Eu 2.77
S: 0.7315 0.1370 0.0871  2 Mg 2.69-2.82, 2 Eu 2.76-2.77
S: 0.7352 0.6393 0.0908  2 Mg 2.67-2.78, 2 Eu 2.77-2.79
S: 0.7648 0.6393 0.5908  2 Mg 2.67-2.78, 2 Eu 2.77-2.79
S: 0.7685 0.1370 0.5871  2 Mg 2.69-2.82, 2 Eu 2.76-2.77
S: 0.7906 0.3813 0.3394  1 Mg 2.51, 1 Eu 2.77
S: 0.7917 0.8812 0.3117  1 Mg 2.50, 1 Eu 2.74
S: 0.9562 0.8726 0.9562  1 Mg 2.53, 1 Eu 2.80
S: 0.9741 0.3850 0.9460  1 Mg 2.66, 3 Eu 2.81-2.97
S: 0.9784 0.3711 0.6856  2 Mg 2.56-2.81, 1 Eu 2.77
S: 0.9896 0.8831 0.6953  1 Mg 2.68, 4 Eu 2.81-2.93


[2]
Compound: ErMgSe3
Source: the Materials Project database
Functional: PBE
Structure: relaxed

Results
The energy of formation from the pure elements is -1.39 eV/atom.

Cell lengths 7.3665, 7.3665, 6.9284 Å; angles 103.35, 103.35, 120.38 degrees
Closest atoms and distances in Å follow each position.
Positions (direct):
Er: 0.1947 0.1947 0.3185  4 Se 2.70-2.71
Er: 0.8053 0.8053 0.6815  4 Se 2.70-2.71
Mg: 0.3362 0.6638 0.0000  6 Se 2.67-2.92
Mg: 0.6638 0.3362 0.0000  6 Se 2.67-2.92
Se: 0.1222 0.7790 0.2149  2 Mg 2.70-2.92, 1 Er 2.71
Se: 0.2210 0.8778 0.7851  2 Mg 2.70-2.92, 1 Er 2.71
Se: 0.4682 0.4682 0.7461  2 Mg 2.67, 2 Er 2.70-2.71
Se: 0.5318 0.5318 0.2539  2 Mg 2.67, 2 Er 2.70-2.71
Se: 0.7790 0.1222 0.2149  2 Mg 2.70-2.92, 1 Er 2.71
Se: 0.8778 0.2210 0.7851  2 Mg 2.70-2.92, 1 Er 2.71


[3]
Compound: EuAlF5
Source: the Materials Project database
Functional: PBE
Structure: relaxed

Results
The energy of formation from the pure elements is -3.98 eV/atom.

Cell lengths 16.0564, 16.0564, 16.0564 Å; angles 101.84, 101.84, 126.14 degrees
Closest atoms and distances in Å follow each position.
Positions (direct):
Eu: 0.0058 0.5390 0.3032  8 F 2.50-2.77
Eu: 0.0324 0.0359 0.3185  7 F 2.45-2.73
Eu: 0.0336 0.2143 0.9997  7 F 2.50-2.66
Eu: 0.0390 0.2358 0.5333  8 F 2.50-2.77
Eu: 0.2026 0.5058 0.9667  8 F 2.50-2.77
Eu: 0.2139 0.5324 0.4965  7 F 2.45-2.73
Eu: 0.2174 0.7139 0.1815  7 F 2.45-2.73
Eu: 0.2413 0.2084 0.1941  8 F 2.50-2.78
Eu: 0.2642 0.2974 0.8032  8 F 2.50-2.77
Eu: 0.2854 0.9661 0.4997  7 F 2.50-2.66
Eu: 0.2857 0.7854 0.8193  7 F 2.50-2.66
Eu: 0.2916 0.9858 0.0329  8 F 2.50-2.78
Eu: 0.4528 0.2587 0.4671  8 F 2.50-2.78
Eu: 0.4641 0.2826 0.9965  7 F 2.45-2.73
Eu: 0.4661 0.4664 0.6807  7 F 2.50-2.66
Eu: 0.4858 0.9528 0.6941  8 F 2.50-2.78
Eu: 0.5142 0.0472 0.3059  8 F 2.50-2.78
Eu: 0.5339 0.5336 0.3193  7 F 2.50-2.66
Eu: 0.5359 0.7174 0.0035  7 F 2.45-2.73
Eu: 0.5472 0.7413 0.5329  8 F 2.50-2.78
Eu: 0.7084 0.0142 0.9671  8 F 2.50-2.78
Eu: 0.7143 0.2146 0.1807  7 F 2.50-2.66
Eu: 0.7146 0.0339 0.5003  7 F 2.50-2.66
Eu: 0.7358 0.7026 0.1968  8 F 2.50-2.77
Eu: 0.7587 0.7916 0.8059  8 F 2.50-2.78
Eu: 0.7826 0.2861 0.8185  7 F 2.45-2.73
Eu: 0.7861 0.4676 0.5035  7 F 2.45-2.73
Eu: 0.7974 0.4942 0.0333  8 F 2.50-2.77
Eu: 0.9610 0.7642 0.4667  8 F 2.50-2.77
Eu: 0.9664 0.7857 0.0003  7 F 2.50-2.66
Eu: 0.9676 0.9641 0.6815  7 F 2.45-2.73
Eu: 0.9942 0.4610 0.6968  8 F 2.50-2.77
Al: 0.0206 0.7706 0.2500  6 F 1.78-1.93
Al: 0.0509 0.6314 0.9329  6 F 1.80-1.87
Al: 0.1185 0.0490 0.9151  6 F 1.80-1.86
Al: 0.1239 0.3741 0.2468  6 F 1.80-1.82
Al: 0.1259 0.8728 0.7499  6 F 1.80-1.82
Al: 0.1314 0.6985 0.5805  6 F 1.80-1.87
Al: 0.1985 0.1179 0.5671  6 F 1.80-1.87
Al: 0.2306 0.9806 0.2500  6 F 1.79-1.93
Al: 0.2706 0.5206 0.7500  6 F 1.78-1.93
Al: 0.2966 0.3815 0.4305  6 F 1.80-1.86
Al: 0.3662 0.7966 0.4151  6 F 1.80-1.86
Al: 0.3728 0.1229 0.7468  6 F 1.80-1.82
Al: 0.3771 0.6239 0.2499  6 F 1.80-1.82
Al: 0.3821 0.4491 0.0805  6 F 1.80-1.87
Al: 0.4510 0.8662 0.0695  6 F 1.80-1.86
Al: 0.4806 0.7306 0.7500  6 F 1.79-1.93
Al: 0.5194 0.2694 0.2500  6 F 1.79-1.93
Al: 0.5490 0.1338 0.9305  6 F 1.80-1.86
Al: 0.6179 0.5509 0.9195  6 F 1.80-1.87
Al: 0.6229 0.3761 0.7501  6 F 1.80-1.82
Al: 0.6272 0.8771 0.2532  6 F 1.80-1.82
Al: 0.6338 0.2034 0.5849  6 F 1.80-1.86
Al: 0.7034 0.6185 0.5695  6 F 1.80-1.86
Al: 0.7294 0.4794 0.2500  6 F 1.78-1.93
Al: 0.7694 0.0194 0.7500  6 F 1.79-1.93
Al: 0.8015 0.8821 0.4329  6 F 1.80-1.87
Al: 0.8686 0.3015 0.4195  6 F 1.80-1.87
Al: 0.8741 0.1272 0.2501  6 F 1.80-1.82
Al: 0.8761 0.6259 0.7532  6 F 1.80-1.82
Al: 0.8815 0.9510 0.0849  6 F 1.80-1.86
Al: 0.9491 0.3686 0.0671  6 F 1.80-1.87
Al: 0.9794 0.2294 0.7500  6 F 1.78-1.93
F: 0.0027 0.7508 0.7542  2 Al 1.82
F: 0.0193 0.3727 0.4679  1 Al 1.83
F: 0.0273 0.3884 0.9936  1 Al 1.83
F: 0.0307 0.3716 0.7932  1 Al 1.81
F: 0.0352 0.0365 0.1495  1 Al 1.85
F: 0.0368 0.8507 0.6416  1 Al 1.82
F: 0.0419 0.3498 0.1352  2 Al 1.80-1.87
F: 0.0514 0.5193 0.1465  1 Al 1.83
F: 0.0634 0.2639 0.8644  1 Al 1.78
F: 0.0784 0.2374 0.7068  1 Al 1.81
F: 0.0978 0.9473 0.9626  1 Al 1.82
F: 0.1005 0.8009 0.3644  1 Al 1.78
F: 0.1021 0.9610 0.8067  2 Al 1.80-1.86
F: 0.1040 0.9299 0.2827  2 Al 1.93
F: 0.1048 0.4632 0.3139  1 Al 1.82
F: 0.1052 0.9663 0.4936  1 Al 1.83
F: 0.1116 0.6052 0.6389  1 Al 1.83
F: 0.1126 0.1349 0.4944  1 Al 1.80
F: 0.1168 0.6527 0.8506  1 Al 1.82
F: 0.1182 0.6126 0.4777  1 Al 1.80
F: 0.1273 0.0951 0.6465  1 Al 1.83
F: 0.1284 0.4216 0.6590  1 Al 1.81
F: 0.1286 0.1342 0.0160  1 Al 1.80
F: 0.1381 0.1386 0.8521  1 Al 1.84
F: 0.1405 0.6182 0.0056  1 Al 1.80
F: 0.1430 0.7838 0.0046  1 Al 1.84
F: 0.1444 0.2859 0.1808  1 Al 1.82
F: 0.1472 0.8213 0.2173  2 Al 1.93
F: 0.1502 0.7854 0.6921  2 Al 1.80-1.87
F: 0.1506 0.9512 0.1360  1 Al 1.79
F: 0.1527 0.8021 0.5358  1 Al 1.82
F: 0.1973 0.2302 0.3522  1 Al 1.84
F: 0.2046 0.3979 0.3589  2 Al 1.80-1.86
F: 0.2141 0.3619 0.5005  1 Al 1.84
F: 0.2136 0.7141 0.3521  1 Al 1.84
F: 0.2141 0.8949 0.8585  1 Al 1.82
F: 0.2338 0.3832 0.0358  1 Al 1.82
F: 0.2361 0.6005 0.7995  1 Al 1.78
F: 0.2514 0.4973 0.2481  2 Al 1.82
F: 0.2508 0.9967 0.7481  2 Al 1.82
F: 0.2626 0.4693 0.8410  1 Al 1.81
F: 0.2698 0.1219 0.9671  1 Al 1.84
F: 0.2792 0.1384 0.4954  1 Al 1.84
F: 0.2817 0.1228 0.2938  1 Al 1.81
F: 0.2838 0.7792 0.6408  1 Al 1.84
F: 0.2854 0.0933 0.6352  2 Al 1.80-1.87
F: 0.2909 0.6048 0.1416  1 Al 1.82
F: 0.3009 0.4366 0.7005  1 Al 1.78
F: 0.3021 0.2662 0.6494  1 Al 1.82
F: 0.3153 0.0146 0.3640  1 Al 1.79
F: 0.3213 0.6040 0.6740  2 Al 1.93
F: 0.3290 0.9879 0.2062  1 Al 1.81
F: 0.3452 0.6973 0.4671  1 Al 1.84
F: 0.3457 0.7046 0.3067  2 Al 1.80-1.86
F: 0.3507 0.2091 0.8139  1 Al 1.82
F: 0.3614 0.7136 0.9995  1 Al 1.84
F: 0.3616 0.3570 0.1408  1 Al 1.84
F: 0.3651 0.3595 0.9777  1 Al 1.80
F: 0.3648 0.4022 0.3495  1 Al 1.82
F: 0.3658 0.8817 0.9944  1 Al 1.80
F: 0.3772 0.1710 0.1589  1 Al 1.81
F: 0.3781 0.8452 0.1478  1 Al 1.84
F: 0.3817 0.8873 0.5160  1 Al 1.80
F: 0.3857 0.5352 0.4987  1 Al 1.85
F: 0.3873 0.3714 0.5056  1 Al 1.80
F: 0.3870 0.8857 0.3505  1 Al 1.85
F: 0.3949 0.0364 0.6808  1 Al 1.82
F: 0.4049 0.5514 0.0321  1 Al 1.83
F: 0.4067 0.5419 0.1921  2 Al 1.80-1.87
F: 0.4299 0.6472 0.8260  2 Al 1.93
F: 0.4473 0.9847 0.8495  1 Al 1.82
F: 0.4512 0.8153 0.8006  1 Al 1.79
F: 0.4610 0.1543 0.8589  2 Al 1.80-1.86
F: 0.4635 0.1130 0.9987  1 Al 1.85
F: 0.4636 0.6444 0.3585  1 Al 1.82
F: 0.4663 0.4727 0.8611  1 Al 1.83
F: 0.4847 0.1352 0.5374  1 Al 1.82
F: 0.4854 0.3494 0.3006  1 Al 1.79
F: 0.4879 0.7817 0.6589  1 Al 1.81
F: 0.4967 0.2486 0.7458  2 Al 1.82
F: 0.5033 0.7514 0.2542  2 Al 1.82
F: 0.5121 0.2183 0.3411  1 Al 1.81
F: 0.5146 0.6506 0.6994  1 Al 1.79
F: 0.5153 0.8648 0.4626  1 Al 1.82
F: 0.5337 0.5273 0.1389  1 Al 1.83
F: 0.5364 0.3556 0.6415  1 Al 1.82
F: 0.5365 0.8870 0.0013  1 Al 1.85
F: 0.5390 0.8457 0.1411  2 Al 1.80-1.86
F: 0.5488 0.1847 0.1994  1 Al 1.79
F: 0.5527 0.0153 0.1505  1 Al 1.82
F: 0.5701 0.3528 0.1740  2 Al 1.93
F: 0.5933 0.4581 0.8079  2 Al 1.80-1.87
F: 0.5951 0.4486 0.9679  1 Al 1.83
F: 0.6051 0.9636 0.3192  1 Al 1.82
F: 0.6130 0.1143 0.6495  1 Al 1.85
F: 0.6127 0.6286 0.4944  1 Al 1.80
F: 0.6143 0.4648 0.5013  1 Al 1.85
F: 0.6183 0.1127 0.4840  1 Al 1.80
F: 0.6219 0.1548 0.8522  1 Al 1.84
F: 0.6228 0.8290 0.8411  1 Al 1.81
F: 0.6342 0.1183 0.0056  1 Al 1.80
F: 0.6352 0.5978 0.6505  1 Al 1.82
F: 0.6349 0.6405 0.0223  1 Al 1.80
F: 0.6384 0.6430 0.8592  1 Al 1.84
F: 0.6386 0.2864 0.0005  1 Al 1.84
F: 0.6493 0.7909 0.1861  1 Al 1.82
F: 0.6543 0.2954 0.6933  2 Al 1.80-1.86
F: 0.6548 0.3027 0.5329  1 Al 1.84
F: 0.6710 0.0121 0.7938  1 Al 1.81
F: 0.6787 0.3960 0.3260  2 Al 1.93
F: 0.6847 0.9854 0.6360  1 Al 1.79
F: 0.6979 0.7338 0.3506  1 Al 1.82
F: 0.6991 0.5634 0.2995  1 Al 1.78
F: 0.7091 0.3952 0.8584  1 Al 1.82
F: 0.7146 0.9067 0.3648  2 Al 1.80-1.87
F: 0.7162 0.2208 0.3592  1 Al 1.84
F: 0.7183 0.8772 0.7062  1 Al 1.81
F: 0.7208 0.8616 0.5046  1 Al 1.84
F: 0.7302 0.8781 0.0329  1 Al 1.84
F: 0.7374 0.5307 0.1590  1 Al 1.81
F: 0.7492 0.0033 0.2519  2 Al 1.82
F: 0.7486 0.5027 0.7519  2 Al 1.82
F: 0.7639 0.3995 0.2005  1 Al 1.78
F: 0.7662 0.6168 0.9642  1 Al 1.82
F: 0.7859 0.1051 0.1415  1 Al 1.82
F: 0.7864 0.2859 0.6479  1 Al 1.84
F: 0.7859 0.6381 0.4995  1 Al 1.84
F: 0.7954 0.6021 0.6411  2 Al 1.80-1.86
F: 0.8027 0.7698 0.6478  1 Al 1.84
F: 0.8473 0.1979 0.4642  1 Al 1.82
F: 0.8494 0.0488 0.8640  1 Al 1.79
F: 0.8498 0.2146 0.3079  2 Al 1.80-1.87
F: 0.8528 0.1787 0.7827  2 Al 1.93
F: 0.8556 0.7141 0.8192  1 Al 1.82
F: 0.8570 0.2162 0.9954  1 Al 1.84
F: 0.8595 0.3818 0.9944  1 Al 1.80
F: 0.8619 0.8614 0.1479  1 Al 1.84
F: 0.8714 0.8658 0.9840  1 Al 1.80
F: 0.8716 0.5784 0.3410  1 Al 1.81
F: 0.8727 0.9049 0.3535  1 Al 1.83
F: 0.8818 0.3874 0.5223  1 Al 1.80
F: 0.8832 0.3473 0.1494  1 Al 1.82
F: 0.8874 0.8651 0.5056  1 Al 1.80
F: 0.8884 0.3948 0.3611  1 Al 1.83
F: 0.8948 0.0337 0.5064  1 Al 1.83
F: 0.8952 0.5368 0.6861  1 Al 1.82
F: 0.8960 0.0701 0.7173  2 Al 1.93
F: 0.8979 0.0390 0.1933  2 Al 1.80-1.86
F: 0.8995 0.1991 0.6356  1 Al 1.78
F: 0.9022 0.0527 0.0374  1 Al 1.82
F: 0.9216 0.7626 0.2932  1 Al 1.81
F: 0.9366 0.7361 0.1356  1 Al 1.78
F: 0.9486 0.4807 0.8535  1 Al 1.83
F: 0.9581 0.6502 0.8648  2 Al 1.80-1.87
F: 0.9632 0.1493 0.3584  1 Al 1.82
F: 0.9648 0.9635 0.8505  1 Al 1.85
F: 0.9693 0.6284 0.2068  1 Al 1.81
F: 0.9727 0.6116 0.0064  1 Al 1.83
F: 0.9807 0.6273 0.5321  1 Al 1.83
F: 0.9973 0.2492 0.2458  2 Al 1.82